A plane-wave DFT calculation with PBE-GGA was carried out for crystalline Na14Nb4Ga4Si11SO48 at its relaxed geometry.

Values from the calculation:
- Space-group type: P1 (1)
- E: -1691.82 eV/cell
- Spin magnetization: 0.00 μB/f.u.

a b c (Å): 18.0934 9.0332 22.1692
angles (deg): 90.06 90.14 119.99
Closest atoms and distances in Å follow each position.
Sites, in units of the cell vectors:
O (0.0818, 0.4570, 0.9786)  1 Si 1.62
Si (0.8593, 0.7173, 0.2504)  4 O 1.62-1.69
Na (0.6679, 0.0412, 0.4176)  5 O 2.40-2.57
O (0.7539, 0.3597, 0.4201)  1 Si 1.61
Ga (0.9964, 0.9867, 0.6451)  5 O 1.91-2.04
O (0.2492, 0.6319, 0.8577)  1 Si 1.67
Si (0.0230, 0.3733, 0.9190)  4 O 1.62-1.67
O (0.2488, 0.6427, 0.5778)  1 Si 1.66
Si (0.9787, 0.3278, 0.5808)  4 O 1.62-1.67
Si (0.1640, 0.9576, 0.9196)  4 O 1.62-1.68
O (0.5936, 0.1552, 0.0885)  1 Si 1.62
O (0.8419, 0.1658, 0.7447)  1 Si 1.66
Na (0.4771, 0.2921, 0.4164)  6 O 2.42-2.63
Si (0.8124, 0.6694, 0.9197)  4 O 1.61-1.68
Na (0.0003, 0.0017, 0.0004)  6 O 2.47-2.58
O (0.6572, 0.8467, 0.2537)  1 S 1.52
Na (0.5115, 0.6901, 0.5828)  6 O 2.46-2.72
Si (0.1846, 0.3308, 0.0843)  4 O 1.62-1.68
Nb (0.4974, 0.9971, 0.6468)  6 O 1.94-2.07
O (0.9190, 0.0282, 0.0848)  1 Si 1.62
O (0.6504, 0.4626, 0.4752)  1 Si 1.67
O (0.1837, 0.8640, 0.8611)  1 Si 1.68
Si (0.0032, 0.7215, 0.7497)  4 O 1.62-1.69
O (0.8180, 0.1349, 0.1429)  1 Si 1.65
Na (0.3319, 0.7084, 0.0830)  6 O 2.42-2.64
Si (0.3118, 0.6713, 0.9178)  4 O 1.62-1.67
Na (0.3217, 0.9999, 0.2500)  4 O 2.36-2.58
O (0.8465, 0.1661, 0.0260)  1 Si 1.68
Ga (0.4908, 0.9947, 0.3546)  5 O 1.90-2.06
O (0.9324, 0.5007, 0.1393)  1 Si 1.67
O (0.5815, 0.9794, 0.9122)  1 Si 1.62
O (0.4008, 0.9729, 0.6924)  1 Si 1.69
Ga (0.9937, 0.0049, 0.1449)  5 O 1.91-2.06
O (0.7624, 0.7004, 0.2564)  1 Si 1.69
Ga (0.6667, 0.6663, 0.0193)  6 O 1.94-2.09
O (0.9074, 0.8342, 0.9140)  1 Si 1.62
Si (0.6664, 0.3652, 0.4167)  4 O 1.61-1.67
O (0.4184, 0.5375, 0.0246)  1 Si 1.67
Nb (0.6664, 0.6660, 0.5188)  6 O 1.93-2.08
Na (0.6641, 0.6537, 0.1625)  5 O 2.37-2.63
Na (0.6523, 0.3316, 0.5819)  5 O 2.43-2.65
O (0.2331, 0.3026, 0.0243)  1 Si 1.68
O (0.2530, 0.1448, 0.9214)  1 Si 1.65
O (0.4050, 0.9721, 0.4152)  1 Si 1.63
O (0.3181, 0.1348, 0.1428)  1 Si 1.65
O (0.8164, 0.5001, 0.6412)  1 Si 1.66
O (0.9279, 0.3597, 0.9218)  1 Si 1.66
Ga (0.9934, 0.9904, 0.8546)  5 O 1.92-2.03
O (0.0945, 0.2111, 0.6951)  1 S 1.48
O (0.2614, 0.8203, 0.7544)  1 Si 1.66
Si (0.3315, 0.0377, 0.0844)  4 O 1.62-1.68
O (0.7471, 0.6388, 0.5781)  1 Si 1.67
Si (0.4836, 0.6348, 0.0829)  4 O 1.61-1.67
O (0.3551, 0.5405, 0.5241)  1 Si 1.62
O (0.8507, 0.5355, 0.5222)  1 Si 1.62
O (0.8188, 0.4928, 0.9207)  1 Si 1.66
O (0.4135, 0.0371, 0.8106)  1 Si 1.63
O (0.2273, 0.1637, 0.5219)  1 Si 1.64
O (0.0122, 0.1851, 0.9103)  1 Si 1.62
O (0.2338, 0.1535, 0.2461)  1 S 1.52
Na (0.8223, 0.0003, 0.2500)  4 O 2.36-2.59
O (0.9826, 0.7962, 0.8101)  1 Si 1.62
O (0.5738, 0.6399, 0.0797)  1 Si 1.61
O (0.4172, 0.2914, 0.5227)  1 Si 1.62
O (0.9129, 0.7936, 0.3123)  1 Si 1.62
Nb (0.3393, 0.3478, 0.1873)  5 O 1.89-2.02
Si (0.0192, 0.6689, 0.4150)  4 O 1.62-1.68
Na (0.8320, 0.7082, 0.0836)  6 O 2.42-2.62
Nb (0.6674, 0.6691, 0.8136)  6 O 1.94-2.08
O (0.9123, 0.2998, 0.2437)  1 Si 1.69
Si (0.8350, 0.6228, 0.5808)  4 O 1.62-1.67
O (0.7334, 0.3028, 0.0244)  1 Si 1.69
O (0.0833, 0.4800, 0.2561)  1 Si 1.67
Si (0.5005, 0.2824, 0.2495)  4 O 1.62-1.68
O (0.2550, 0.1300, 0.6399)  1 Si 1.62
Na (0.8373, 0.3465, 0.3371)  5 O 2.37-2.62
O (0.5828, 0.4610, 0.9774)  1 Si 1.62
O (0.7532, 0.1442, 0.9213)  1 Si 1.66
Na (0.4837, 0.6785, 0.9140)  5 O 2.39-2.60
O (0.3976, 0.8327, 0.1900)  1 Si 1.63
Na (0.9855, 0.6767, 0.9141)  5 O 2.44-2.62
Na (0.0014, 0.0000, 0.5001)  6 O 2.48-2.58
O (0.9179, 0.2895, 0.5221)  1 Si 1.62
Nb (0.3332, 0.3356, 0.9798)  6 O 1.94-2.06
Na (0.8540, 0.0308, 0.9142)  5 O 2.41-2.58
O (0.5800, 0.1827, 0.4103)  1 Si 1.61
Na (0.8401, 0.9702, 0.5861)  5 O 2.42-2.60
O (0.5726, 0.6404, 0.3605)  1 Si 1.65
Si (0.6638, 0.9554, 0.9197)  4 O 1.61-1.68
O (0.7491, 0.1342, 0.6420)  1 Si 1.65
O (0.4069, 0.8357, 0.9115)  1 Si 1.62
O (0.4122, 0.2994, 0.2438)  1 Si 1.68
Na (0.8226, 0.6450, 0.7490)  4 O 2.40-2.65
Nb (0.8328, 0.3333, 0.9805)  6 O 1.93-2.08
Si (0.6447, 0.2883, 0.7525)  4 O 1.61-1.66
O (0.5164, 0.8454, 0.4115)  1 Si 1.62
O (0.9183, 0.5371, 0.0244)  1 Si 1.67
O (0.5146, 0.8304, 0.6923)  1 Si 1.67
O (0.0830, 0.9848, 0.9084)  1 Si 1.62
O (0.4825, 0.7941, 0.8108)  1 Si 1.62
O (0.8432, 0.5197, 0.2438)  1 Si 1.67
Na (0.3547, 0.0304, 0.9143)  5 O 2.38-2.61
O (0.6821, 0.8664, 0.8590)  1 Si 1.68
O (0.9923, 0.1658, 0.5917)  1 Si 1.62
O (0.7338, 0.1534, 0.2463)  1 S 1.52
O (0.2524, 0.3600, 0.1396)  1 Si 1.66
O (0.0161, 0.8448, 0.4111)  1 Si 1.62
O (0.6064, 0.0221, 0.3055)  1 S 1.47
Ga (0.3318, 0.3304, 0.4817)  6 O 1.95-2.13
O (0.1804, 0.5049, 0.0802)  1 Si 1.62
Na (0.3305, 0.3233, 0.8271)  5 O 2.37-2.64
O (0.9810, 0.1667, 0.3100)  1 Si 1.63
O (0.2624, 0.7001, 0.2563)  1 Si 1.68
O (0.2541, 0.3616, 0.4209)  1 Si 1.61
O (0.0697, 0.5052, 0.8612)  1 Si 1.67
Si (0.4765, 0.3336, 0.5821)  4 O 1.62-1.67
Si (0.8315, 0.0369, 0.0849)  4 O 1.62-1.68
O (0.8975, 0.8325, 0.1899)  1 Si 1.63
O (0.7525, 0.3601, 0.1395)  1 Si 1.66
O (0.2508, 0.8649, 0.3570)  1 Si 1.65
Ga (0.9913, 0.9954, 0.3553)  5 O 1.91-2.05
Na (0.3180, 0.6275, 0.7487)  5 O 2.37-2.57
Nb (0.8392, 0.3383, 0.6882)  6 O 1.91-2.10
Na (0.6669, 0.6668, 0.6664)  6 O 2.51-2.54
Na (0.1675, 0.0416, 0.4196)  5 O 2.41-2.51
Si (0.6899, 0.0471, 0.5815)  4 O 1.61-1.66
Ga (0.4933, 0.0046, 0.1447)  5 O 1.91-2.06
O (0.5683, 0.5009, 0.8589)  1 Si 1.68
O (0.0950, 0.9780, 0.1944)  1 S 1.47
O (0.3432, 0.5195, 0.2438)  1 Si 1.67
Na (0.6468, 0.9585, 0.0817)  5 O 2.41-2.56
O (0.6795, 0.8541, 0.5791)  1 Si 1.66
O (0.0738, 0.6399, 0.0795)  1 Si 1.61
O (0.7612, 0.8314, 0.7556)  1 Si 1.70
O (0.6803, 0.5047, 0.0801)  1 Si 1.61
Nb (0.1646, 0.6736, 0.8141)  5 O 1.89-2.07
O (0.5166, 0.2066, 0.1879)  1 Si 1.62
Si (0.1661, 0.3660, 0.4179)  4 O 1.61-1.67
O (0.9151, 0.5269, 0.7438)  1 Si 1.69
O (0.3139, 0.4987, 0.6446)  1 Si 1.63
Nb (0.1661, 0.6689, 0.5202)  6 O 1.94-2.07
O (0.3187, 0.4941, 0.9215)  1 Si 1.67
O (0.1063, 0.0222, 0.3053)  1 S 1.47
Si (0.3319, 0.6123, 0.5839)  4 O 1.62-1.68
O (0.4276, 0.4956, 0.4199)  1 Si 1.61
O (0.2326, 0.3139, 0.7478)  1 S 1.49
Na (0.0168, 0.7105, 0.5856)  5 O 2.41-2.54
O (0.9883, 0.8170, 0.0899)  1 Si 1.61
O (0.3466, 0.1672, 0.0257)  1 Si 1.68
O (0.5832, 0.4801, 0.2563)  1 Si 1.67
Na (0.8396, 0.3350, 0.8327)  6 O 2.48-2.58
O (0.8982, 0.9635, 0.6899)  1 Si 1.62
Na (0.0224, 0.3357, 0.0833)  6 O 2.42-2.57
Si (0.3591, 0.7169, 0.2504)  4 O 1.62-1.68
O (0.7288, 0.1650, 0.5224)  1 Si 1.61
O (0.9277, 0.4954, 0.4197)  1 Si 1.62
O (0.9121, 0.0291, 0.8124)  1 Si 1.61
S (0.1444, 0.0002, 0.2499)  4 O 1.47-1.52
Ga (0.1669, 0.6664, 0.0188)  6 O 1.94-2.10
Si (0.3128, 0.9627, 0.4152)  4 O 1.62-1.68
O (0.5846, 0.6911, 0.7542)  1 Si 1.67
O (0.5848, 0.1991, 0.6919)  1 Si 1.66
O (0.7510, 0.6358, 0.8586)  1 Si 1.68
Na (0.3536, 0.6631, 0.4167)  6 O 2.40-2.63
Na (0.4938, 0.3628, 0.7479)  5 O 2.35-2.58
Ga (0.4980, 0.9988, 0.8523)  6 O 1.95-2.08
O (0.9310, 0.3651, 0.6387)  1 Si 1.67
Na (0.1642, 0.6539, 0.1626)  5 O 2.37-2.62
O (0.0163, 0.2065, 0.1878)  1 Si 1.62
O (0.0930, 0.0255, 0.5898)  1 Si 1.64
Na (0.1620, 0.2970, 0.9159)  5 O 2.38-2.63
O (0.1498, 0.4634, 0.4759)  1 Si 1.66
Na (0.6821, 0.0028, 0.7510)  6 O 2.46-2.70
Si (0.4956, 0.7034, 0.7521)  4 O 1.62-1.67
Na (0.4991, 0.9987, 0.4945)  5 O 2.37-2.65
Si (0.0006, 0.2825, 0.2495)  4 O 1.62-1.69
O (0.5950, 0.9780, 0.1946)  1 S 1.47
O (0.7456, 0.8525, 0.0801)  1 Si 1.62
O (0.3192, 0.1476, 0.4199)  1 Si 1.62
Si (0.3525, 0.0045, 0.7523)  4 O 1.62-1.69
Na (0.1631, 0.6744, 0.6684)  6 O 2.45-2.64
O (0.2455, 0.8530, 0.0795)  1 Si 1.62
O (0.1572, 0.8467, 0.2536)  1 S 1.52
O (0.2639, 0.8349, 0.4742)  1 Si 1.68
O (0.4282, 0.3628, 0.9216)  1 Si 1.66
O (0.2689, 0.7046, 0.9767)  1 Si 1.62
Si (0.8133, 0.9633, 0.4153)  4 O 1.62-1.68
Si (0.1891, 0.0522, 0.5836)  4 O 1.62-1.70
O (0.4189, 0.0282, 0.0848)  1 Si 1.63
Na (0.4995, 0.0001, 0.9993)  6 O 2.48-2.55
O (0.5105, 0.1852, 0.9113)  1 Si 1.62
Ga (0.8344, 0.3326, 0.4805)  6 O 1.94-2.09
O (0.1548, 0.4660, 0.7542)  1 S 1.52
Na (0.6599, 0.2897, 0.9147)  5 O 2.38-2.61
Nb (0.6654, 0.6526, 0.3122)  5 O 1.89-2.02
O (0.4814, 0.1673, 0.3101)  1 Si 1.63
O (0.6480, 0.8355, 0.9777)  1 Si 1.61
Na (0.3312, 0.9776, 0.5830)  5 O 2.42-2.70
Si (0.5189, 0.6688, 0.4151)  4 O 1.61-1.69
O (0.0801, 0.1831, 0.4102)  1 Si 1.61
O (0.5812, 0.6965, 0.4758)  1 Si 1.69
O (0.7505, 0.8653, 0.3573)  1 Si 1.65
Na (0.8548, 0.6651, 0.4164)  6 O 2.43-2.61
O (0.1447, 0.8356, 0.9777)  1 Si 1.62
O (0.7689, 0.7031, 0.9776)  1 Si 1.61
O (0.7635, 0.8343, 0.4741)  1 Si 1.68
O (0.5742, 0.5019, 0.5767)  1 Si 1.66
O (0.1779, 0.8548, 0.5768)  1 Si 1.70
O (0.9051, 0.9721, 0.4154)  1 Si 1.62
O (0.7406, 0.3130, 0.7451)  1 Si 1.64
O (0.0814, 0.6961, 0.4751)  1 Si 1.68
O (0.4886, 0.8172, 0.0901)  1 Si 1.61
O (0.6819, 0.4993, 0.3603)  1 Si 1.67
Na (0.3366, 0.3457, 0.3376)  5 O 2.37-2.64
O (0.4128, 0.7928, 0.3123)  1 Si 1.62
O (0.0153, 0.8243, 0.6876)  1 Si 1.62
Na (0.9786, 0.2925, 0.4167)  6 O 2.43-2.63
O (0.9173, 0.8137, 0.5860)  1 Si 1.62
S (0.6446, 0.0004, 0.2501)  4 O 1.47-1.52
O (0.1042, 0.1900, 0.8060)  1 S 1.48
O (0.0723, 0.5056, 0.5789)  1 Si 1.65
O (0.4428, 0.3792, 0.6432)  1 Si 1.62
Si (0.8606, 0.0041, 0.7502)  4 O 1.61-1.70
O (0.4165, 0.8105, 0.5903)  1 Si 1.68
O (0.8188, 0.1473, 0.4203)  1 Si 1.62
Na (0.5219, 0.3349, 0.0833)  6 O 2.43-2.61
O (0.4895, 0.1642, 0.5887)  1 Si 1.67
Na (0.1483, 0.3238, 0.5853)  5 O 2.36-2.63
O (0.1818, 0.4993, 0.3607)  1 Si 1.67
Nb (0.8396, 0.3483, 0.1873)  5 O 1.88-2.02
O (0.6031, 0.1689, 0.8108)  1 Si 1.61
O (0.5931, 0.0207, 0.5894)  1 Si 1.65
Si (0.5227, 0.3743, 0.9190)  4 O 1.62-1.68
Si (0.6845, 0.3307, 0.0844)  4 O 1.61-1.69
Na (0.1471, 0.9587, 0.0818)  5 O 2.40-2.55
O (0.0721, 0.6393, 0.3600)  1 Si 1.65
O (0.6539, 0.4796, 0.7539)  1 Si 1.65
O (0.0849, 0.6880, 0.7561)  1 Si 1.66
S (0.1444, 0.2883, 0.7507)  4 O 1.48-1.52
Nb (0.1653, 0.6518, 0.3125)  5 O 1.88-2.02
O (0.3458, 0.1756, 0.7440)  1 Si 1.62
O (0.4325, 0.5005, 0.1395)  1 Si 1.67
O (0.0936, 0.1552, 0.0885)  1 Si 1.62
Ga (0.3373, 0.3275, 0.6807)  5 O 1.89-2.11
Si (0.9837, 0.6349, 0.0827)  4 O 1.61-1.67
O (0.4116, 0.5156, 0.7451)  1 Si 1.62